HoCoSn | PBE | relaxed

Unit cell a=7.239 b=4.579 c=7.303 alpha=90.00 beta=90.00 gamma=90.00
Space group Pnma (No. 62)
Symmetry-distinct sites (fractional):
Ho 0.023 0.250 0.200 x4
Co 0.158 0.750 0.441 x4
Sn 0.202 0.250 0.608 x4

Output
For the calculated density, the calculation gives 9.4 g cm⁻³. The calculated volume is 242 Å³ per cell. As for the formation enthalpy at 0 K: -0.49 eV/atom.